# 1
The following is a DFT calculation (PBE) of an optimized crystal structure of Cr2GaN.

Total magnetic moment = 0.50 μB per atom
Raw total energy = -7.97 eV/atom

Cell: 2.9401 2.9401 12.2143 Å, 90.00 90.00 120.00°
With the nearest neighbours (Å) after each atom.
Sites, in units of the cell vectors:
Cr (0.3333, 0.6667, 0.0800)  3 N 1.96
Cr (0.3333, 0.6667, 0.4200)  3 N 1.96
Cr (0.6667, 0.3333, 0.5800)  3 N 1.96
Cr (0.6667, 0.3333, 0.9200)  3 N 1.96
Ga (0.3333, 0.6667, 0.7500)  6 Cr 2.68, 6 Ga 2.94
Ga (0.6667, 0.3333, 0.2500)  6 Cr 2.68, 6 Ga 2.94
N (0.0000, 0.0000, 0.0000)  6 Cr 1.96
N (0.0000, 0.0000, 0.5000)  6 Cr 1.96

# 2
The following is a DFT calculation (PBE) of an optimized crystal structure of CrGa3Ni2S8.

Total magnetic moment = 0.50 μB per atom
Raw total energy = -4.99 eV/atom

Cell: 12.4305 12.4305 6.3329 Å, 104.66 104.66 16.75°
With the nearest neighbours (Å) after each atom.
Sites, in units of the cell vectors:
Cr (0.0000, 0.0000, 0.0000)  4 S 2.21-2.34
Ga (0.2853, 0.2853, 0.6225)  4 S 2.24-2.35
Ga (0.4994, 0.4994, 0.5053)  4 S 2.28-2.31
Ga (0.7855, 0.7855, 0.1216)  4 S 2.27-2.34
Ni (0.1428, 0.1428, 0.8143)  6 S 2.38-2.42
Ni (0.6426, 0.6426, 0.3118)  6 S 2.38-2.40
S (0.0929, 0.0929, 0.0976)  1 Cr 2.21, 3 Ni 2.40-2.42
S (0.1910, 0.1910, 0.5288)  1 Ga 2.24, 3 Ni 2.40
S (0.3291, 0.3291, 0.3336)  3 Ga 2.34-2.35
S (0.4601, 0.4601, 0.7982)  2 Cr 2.29, 1 Ga 2.30
S (0.5954, 0.5954, 0.5985)  1 Ga 2.28, 3 Ni 2.38-2.39
S (0.6900, 0.6900, 0.0275)  1 Ga 2.27, 3 Ni 2.38
S (0.8293, 0.8293, 0.8341)  3 Ga 2.34-2.35
S (0.9592, 0.9592, 0.2956)  2 Ga 2.31, 1 Cr 2.34